CaIn4Pd: optimized geometry, PBE.

The structure in POSCAR format:
```
CaIn4Pd
1.0
2.2599 -8.4580 0.0000
2.2599 8.4580 0.0000
0.0000 0.0000 7.6444
Ca In Pd
2 8 2
Direct
0.1275 0.8725 0.7500 Ca
0.8725 0.1275 0.2500 Ca
0.3173 0.6827 0.9503 In
0.6827 0.3173 0.0497 In
0.6827 0.3173 0.4503 In
0.3173 0.6827 0.5497 In
0.9342 0.0658 0.7500 In
0.0658 0.9342 0.2500 In
0.5000 0.5000 0.0000 In
0.5000 0.5000 0.5000 In
0.7725 0.2275 0.7500 Pd
0.2275 0.7725 0.2500 Pd
```

Properties
DFT formation energy = -424 meV per atom